[1]
Below is Li3VCrP2O8F2 after structural relaxation, with properties calculated at the PBE+U level.

As for the MP2020-corrected energy: -7.369 eV per atom. The total moment comes out at 1.6 μB per formula unit. The space group is P1. For the calculated total energy, the calculation gives -6.7741 eV/atom. For the energy relative to the elements, the calculation gives -2.7397 eV/atom.

abc: 5.2931 5.3831 7.5544
angles: 106.42 109.20 96.94
Positions (direct):
Li (0.0000, 0.0000, 0.0000)
Li (0.2193, 0.4351, 0.3610)
Li (0.4684, 0.8101, 0.7166)
V (0.7258, 0.3987, 0.8506)
Cr (0.7199, 0.3955, 0.3519)
P (0.0586, 0.0391, 0.6095)
P (0.3916, 0.7555, 0.0907)
O (0.0490, 0.7405, 0.5108)
O (0.0895, 0.6448, 0.9299)
O (0.3618, 0.1505, 0.7689)
O (0.4010, 0.0530, 0.1876)
O (0.4481, 0.6083, 0.2412)
O (0.5956, 0.7273, 0.9782)
O (0.8580, 0.0669, 0.7252)
O (0.9990, 0.1881, 0.4604)
F (0.5586, 0.4925, 0.6031)
F (0.8895, 0.3113, 0.1005)



[2]
Below is MgCrF5 after structural relaxation, with properties calculated at the PBE+U level.

As for the MP2020-corrected energy: -6.312 eV per atom. The total moment comes out at 3.0 μB per formula unit. The space group is C2/c. For the calculated total energy, the calculation gives -5.6962 eV/atom. For the energy relative to the elements, the calculation gives -3.3366 eV/atom.

abc: 5.2855 5.2855 7.3961
angles: 110.56 110.56 72.51
Positions (direct):
Mg (0.0238, 0.9762, 0.7500)
Mg (0.9762, 0.0238, 0.2500)
Cr (0.5000, 0.5000, 0.0000)
Cr (0.5000, 0.5000, 0.5000)
F (0.1846, 0.7916, 0.0456)
F (0.2084, 0.8154, 0.4544)
F (0.2224, 0.2799, 0.3703)
F (0.2799, 0.2224, 0.8703)
F (0.3888, 0.6112, 0.7500)
F (0.6112, 0.3888, 0.2500)
F (0.7201, 0.7776, 0.1297)
F (0.7776, 0.7201, 0.6297)
F (0.7916, 0.1846, 0.5456)
F (0.8154, 0.2084, 0.9544)



[3]
Below is MgCrF4 after structural relaxation, with properties calculated at the PBE+U level.

As for the MP2020-corrected energy: -6.378 eV per atom. As for the distance to the lowest polymorph of the same formula: 0.060 eV/atom. The total moment comes out at 0.0 μB per formula unit. The space group is Ibam. For the calculated total energy, the calculation gives -5.7368 eV/atom. For the energy relative to the elements, the calculation gives -3.2260 eV/atom.

abc: 6.3482 6.3482 6.3482
angles: 132.64 131.77 69.91
Positions (direct):
Mg (0.2500, 0.2500, 0.0000)
Mg (0.7500, 0.7500, 0.0000)
Cr (0.0000, 0.5000, 0.5000)
Cr (0.5000, 0.0000, 0.5000)
F (0.0550, 0.5732, 0.8995)
F (0.1737, 0.0732, 0.5183)
F (0.3263, 0.8445, 0.8995)
F (0.4450, 0.3445, 0.5183)
F (0.5550, 0.6555, 0.4817)
F (0.6737, 0.1555, 0.1005)
F (0.8263, 0.9268, 0.4817)
F (0.9450, 0.4268, 0.1005)



[4]
Below is MgCrF4 after structural relaxation, with properties calculated at the PBE+U level.

As for the MP2020-corrected energy: -6.438 eV per atom. As for the distance to the lowest polymorph of the same formula: 0.000 eV/atom. The total moment comes out at 4.0 μB per formula unit. The space group is C2/c. For the calculated total energy, the calculation gives -5.7972 eV/atom. For the energy relative to the elements, the calculation gives -3.2864 eV/atom.

abc: 6.2501 6.2501 5.0540
angles: 109.58 109.58 53.87
Positions (direct):
Mg (0.1856, 0.8144, 0.7500)
Mg (0.8144, 0.1856, 0.2500)
Cr (0.0000, 0.5000, 0.0000)
Cr (0.5000, 0.0000, 0.5000)
F (0.0078, 0.2036, 0.6626)
F (0.2036, 0.0078, 0.1626)
F (0.2515, 0.4898, 0.8206)
F (0.4898, 0.2515, 0.3206)
F (0.5102, 0.7485, 0.6794)
F (0.7485, 0.5102, 0.1794)
F (0.7964, 0.9922, 0.8374)
F (0.9922, 0.7964, 0.3374)



[5]
Below is Na2MgCrF7 after structural relaxation, with properties calculated at the PBE+U level.

As for the MP2020-corrected energy: -5.763 eV per atom. The total moment comes out at 3.0 μB per formula unit. The space group is Imma. For the calculated total energy, the calculation gives -5.2873 eV/atom. For the energy relative to the elements, the calculation gives -3.2812 eV/atom.

abc: 7.3778 7.3778 7.3778
angles: 120.96 90.19 118.83
Positions (direct):
Na (0.0000, 0.0000, 0.0000)
Na (0.5000, 0.0000, 0.0000)
Na (0.5000, 0.0000, 0.5000)
Na (0.5000, 0.5000, 0.5000)
Mg (0.0000, 0.0000, 0.5000)
Mg (0.0000, 0.5000, 0.0000)
Cr (0.0000, 0.5000, 0.5000)
Cr (0.5000, 0.5000, 0.0000)
F (0.0486, 0.2363, 0.4195)
F (0.0486, 0.6291, 0.8123)
F (0.1016, 0.8516, 0.2500)
F (0.3168, 0.2363, 0.6877)
F (0.3168, 0.6291, 0.0805)
F (0.3211, 0.7294, 0.5917)
F (0.3622, 0.2706, 0.0917)
F (0.6378, 0.7294, 0.9083)
F (0.6789, 0.2706, 0.4083)
F (0.6832, 0.3709, 0.9195)
F (0.6832, 0.7637, 0.3123)
F (0.8984, 0.1484, 0.7500)
F (0.9514, 0.3709, 0.1877)
F (0.9514, 0.7637, 0.5805)



[6]
Below is MgVCrP2O8F2 after structural relaxation, with properties calculated at the PBE+U level.

As for the MP2020-corrected energy: -7.813 eV per atom. As for the distance to the lowest polymorph of the same formula: 0.000 eV/atom. The total moment comes out at 5.0 μB per formula unit. The space group is P-1. For the calculated total energy, the calculation gives -7.1381 eV/atom. For the energy relative to the elements, the calculation gives -2.8410 eV/atom.

abc: 5.1477 5.4639 7.3937
angles: 110.88 108.11 91.84
Positions (direct):
Mg (0.0000, 0.0000, 0.0000)
V (0.5000, 0.0000, 0.5000)
Cr (0.0000, 0.5000, 0.0000)
P (0.3879, 0.6048, 0.7473)
P (0.6121, 0.3952, 0.2527)
O (0.1849, 0.6832, 0.8713)
O (0.3070, 0.3093, 0.0916)
O (0.3281, 0.3042, 0.6316)
O (0.3506, 0.7674, 0.6135)
O (0.6494, 0.2326, 0.3865)
O (0.6719, 0.6958, 0.3684)
O (0.6930, 0.6907, 0.9084)
O (0.8151, 0.3168, 0.1287)
F (0.1434, 0.8557, 0.2312)
F (0.8566, 0.1443, 0.7688)



[7]
Below is MgVCrP2O8F2 after structural relaxation, with properties calculated at the PBE+U level.

As for the MP2020-corrected energy: -7.807 eV per atom. As for the distance to the lowest polymorph of the same formula: 0.006 eV/atom. The total moment comes out at 5.0 μB per formula unit. The space group is P1. For the calculated total energy, the calculation gives -7.1323 eV/atom. For the energy relative to the elements, the calculation gives -2.8351 eV/atom.

abc: 5.2231 5.4080 7.3957
angles: 107.55 109.09 97.22
Positions (direct):
Mg (0.0000, 0.0000, 0.0000)
V (0.2655, 0.6140, 0.1869)
Cr (0.2629, 0.6040, 0.6670)
P (0.5747, 0.2523, 0.9334)
P (0.9290, 0.9710, 0.4156)
O (0.0233, 0.8367, 0.5737)
O (0.0933, 0.9182, 0.2655)
O (0.3556, 0.2632, 0.0370)
O (0.5288, 0.4120, 0.7934)
O (0.5764, 0.9520, 0.8315)
O (0.6201, 0.8489, 0.2667)
O (0.8840, 0.3548, 0.0960)
O (0.9671, 0.2711, 0.5186)
F (0.1378, 0.6831, 0.9083)
F (0.3900, 0.5417, 0.4446)



[8]
Below is Na2MnCrF7 after structural relaxation, with properties calculated at the PBE+U level.

As for the MP2020-corrected energy: -6.202 eV per atom. The total moment comes out at 8.0 μB per formula unit. The space group is P3_121. For the calculated total energy, the calculation gives -5.5751 eV/atom. For the energy relative to the elements, the calculation gives -3.0331 eV/atom.

abc: 7.5512 7.5512 18.4924
angles: 90.00 90.00 120.00
Positions (direct):
Na (0.0000, 0.8322, 0.1667)
Na (0.0000, 0.8613, 0.6667)
Na (0.1126, 0.6189, 0.9964)
Na (0.1387, 0.1387, 0.0000)
Na (0.1678, 0.1678, 0.5000)
Na (0.3811, 0.4936, 0.3298)
Na (0.4936, 0.3811, 0.6702)
Na (0.5064, 0.8874, 0.6631)
Na (0.6189, 0.1126, 0.0036)
Na (0.8322, 0.0000, 0.8333)
Na (0.8613, 0.0000, 0.3333)
Na (0.8874, 0.5064, 0.3369)
Mn (0.1654, 0.6614, 0.5053)
Mn (0.3386, 0.5040, 0.8386)
Mn (0.4960, 0.8346, 0.1719)
Mn (0.5040, 0.3386, 0.1614)
Mn (0.6614, 0.1654, 0.4947)
Mn (0.8346, 0.4960, 0.8281)
Cr (0.0000, 0.3152, 0.6667)
Cr (0.0000, 0.3327, 0.1667)
Cr (0.3152, 0.0000, 0.3333)
Cr (0.3327, 0.0000, 0.8333)
Cr (0.6673, 0.6673, 0.5000)
Cr (0.6848, 0.6848, 0.0000)
F (0.0471, 0.8111, 0.8070)
F (0.0478, 0.4316, 0.8770)
F (0.0534, 0.8538, 0.2830)
F (0.0666, 0.3672, 0.2706)
F (0.1442, 0.5779, 0.6157)
F (0.1462, 0.1996, 0.6164)
F (0.1889, 0.2360, 0.1403)
F (0.1891, 0.6192, 0.1439)
F (0.1987, 0.7696, 0.3986)
F (0.1996, 0.1462, 0.3836)
F (0.2304, 0.4291, 0.7319)
F (0.2360, 0.1889, 0.8597)
F (0.3006, 0.9334, 0.9373)
F (0.3672, 0.0666, 0.7294)
F (0.3808, 0.5699, 0.4773)
F (0.3839, 0.9522, 0.5437)
F (0.4221, 0.5662, 0.9490)
F (0.4291, 0.2304, 0.2681)
F (0.4301, 0.8109, 0.8106)
F (0.4316, 0.0478, 0.1230)
F (0.4338, 0.8558, 0.2824)
F (0.5662, 0.4221, 0.0510)
F (0.5684, 0.6161, 0.2103)
F (0.5699, 0.3808, 0.5227)
F (0.5709, 0.8013, 0.0652)
F (0.5779, 0.1442, 0.3843)
F (0.6161, 0.5684, 0.7897)
F (0.6192, 0.1891, 0.8561)
F (0.6328, 0.6994, 0.6039)
F (0.6994, 0.6328, 0.3961)
F (0.7640, 0.9529, 0.4737)
F (0.7696, 0.1987, 0.6014)
F (0.8004, 0.9466, 0.9497)
F (0.8013, 0.5709, 0.9348)
F (0.8111, 0.0471, 0.1930)
F (0.8109, 0.4301, 0.1894)
F (0.8538, 0.0534, 0.7170)
F (0.8558, 0.4338, 0.7176)
F (0.9334, 0.3006, 0.0627)
F (0.9466, 0.8004, 0.0503)
F (0.9522, 0.3839, 0.4563)
F (0.9529, 0.7640, 0.5263)



- Number 4 is which compound?
  MgCrF4